[1]
NaGdGeO4 | PBE | optimized geometry

Cell lengths 11.6385, 6.6033, 5.3606 Å; angles 90.00, 90.00, 90.00 degrees
Fractional coordinates of all 28 atoms:
Na (0.0000, 0.0000, 0.0000)
Na (0.0000, 0.5000, 0.0000)
Na (0.5000, 0.0000, 0.5000)
Na (0.5000, 0.5000, 0.5000)
Gd (0.2217, 0.2500, 0.4979)
Gd (0.2783, 0.7500, 0.9979)
Gd (0.7217, 0.2500, 0.0021)
Gd (0.7783, 0.7500, 0.5021)
Ge (0.0964, 0.7500, 0.5567)
Ge (0.4036, 0.2500, 0.0567)
Ge (0.5964, 0.7500, 0.9433)
Ge (0.9036, 0.2500, 0.4433)
O (0.0446, 0.2500, 0.3222)
O (0.1094, 0.7500, 0.2316)
O (0.1722, 0.5443, 0.7080)
O (0.1722, 0.9557, 0.7080)
O (0.3278, 0.0443, 0.2080)
O (0.3278, 0.4557, 0.2080)
O (0.3906, 0.2500, 0.7316)
O (0.4554, 0.7500, 0.8222)
O (0.5446, 0.2500, 0.1778)
O (0.6094, 0.7500, 0.2684)
O (0.6722, 0.5443, 0.7920)
O (0.6722, 0.9557, 0.7920)
O (0.8278, 0.0443, 0.2920)
O (0.8278, 0.4557, 0.2920)
O (0.8906, 0.2500, 0.7684)
O (0.9554, 0.7500, 0.6778)

Output
**Calculated total energy**: -8.13 eV per atom
**SG**: Pnma
**Total magnetization**: 28.0 μB per cell



[2]
Gd2Nb3Ge4 | PBE | optimized geometry

Cell lengths 7.0423, 13.6211, 7.2143 Å; angles 90.00, 90.00, 90.00 degrees
Fractional coordinates of all 36 atoms:
Gd (0.0020, 0.0950, 0.1728)
Gd (0.0020, 0.4050, 0.1728)
Gd (0.4980, 0.5950, 0.6728)
Gd (0.4980, 0.9050, 0.6728)
Gd (0.5020, 0.0950, 0.3272)
Gd (0.5020, 0.4050, 0.3272)
Gd (0.9980, 0.5950, 0.8272)
Gd (0.9980, 0.9050, 0.8272)
Nb (0.1605, 0.6268, 0.3283)
Nb (0.1605, 0.8732, 0.3283)
Nb (0.1643, 0.2500, 0.5127)
Nb (0.3357, 0.7500, 0.0127)
Nb (0.3395, 0.1268, 0.8283)
Nb (0.3395, 0.3732, 0.8283)
Nb (0.6605, 0.6268, 0.1717)
Nb (0.6605, 0.8732, 0.1717)
Nb (0.6643, 0.2500, 0.9873)
Nb (0.8357, 0.7500, 0.4873)
Nb (0.8395, 0.1268, 0.6717)
Nb (0.8395, 0.3732, 0.6717)
Ge (0.0391, 0.2500, 0.8762)
Ge (0.1717, 0.0423, 0.5397)
Ge (0.1717, 0.4577, 0.5397)
Ge (0.1953, 0.7500, 0.6344)
Ge (0.3047, 0.2500, 0.1344)
Ge (0.3283, 0.5423, 0.0397)
Ge (0.3283, 0.9577, 0.0397)
Ge (0.4609, 0.7500, 0.3762)
Ge (0.5391, 0.2500, 0.6238)
Ge (0.6717, 0.0423, 0.9603)
Ge (0.6717, 0.4577, 0.9603)
Ge (0.6953, 0.7500, 0.8656)
Ge (0.8047, 0.2500, 0.3656)
Ge (0.8283, 0.5423, 0.4603)
Ge (0.8283, 0.9577, 0.4603)
Ge (0.9609, 0.7500, 0.1238)

Output
**Calculated total energy**: -9.27 eV per atom
**SG**: Pnma



[3]
GdNi2Ge2 | PBE | optimized geometry

Cell lengths 5.7409, 5.7409, 5.7409 Å; angles 138.32, 138.32, 60.41 degrees
Fractional coordinates of all 5 atoms:
Gd (0.0000, 0.0000, 0.0000)
Ni (0.2500, 0.7500, 0.5000)
Ni (0.7500, 0.2500, 0.5000)
Ge (0.3714, 0.3714, 0.0000)
Ge (0.6286, 0.6286, 0.0000)

Output
**Calculated total energy**: -6.65 eV per atom
**SG**: I4/mmm



[4]
Gd2GeO5 | PBE | optimized geometry

Cell lengths 9.4228, 7.1423, 6.8951 Å; angles 90.00, 104.94, 90.00 degrees
Fractional coordinates of all 32 atoms:
Gd (0.0259, 0.1273, 0.2310)
Gd (0.0259, 0.3727, 0.7310)
Gd (0.3656, 0.1357, 0.0435)
Gd (0.3656, 0.3643, 0.5435)
Gd (0.6344, 0.6357, 0.4565)
Gd (0.6344, 0.8643, 0.9565)
Gd (0.9741, 0.6273, 0.2690)
Gd (0.9741, 0.8727, 0.7690)
Ge (0.3017, 0.5918, 0.0236)
Ge (0.3017, 0.9082, 0.5236)
Ge (0.6983, 0.0918, 0.4764)
Ge (0.6983, 0.4082, 0.9764)
O (0.1091, 0.6356, 0.9917)
O (0.1091, 0.8644, 0.4917)
O (0.1101, 0.1165, 0.9328)
O (0.1101, 0.3835, 0.4328)
O (0.2841, 0.0829, 0.3273)
O (0.2841, 0.4171, 0.8273)
O (0.3893, 0.0611, 0.7194)
O (0.3893, 0.4389, 0.2194)
O (0.3915, 0.7028, 0.4939)
O (0.3915, 0.7972, 0.9939)
O (0.6085, 0.2028, 0.0061)
O (0.6085, 0.2972, 0.5061)
O (0.6107, 0.5611, 0.7806)
O (0.6107, 0.9389, 0.2806)
O (0.7159, 0.5829, 0.1727)
O (0.7159, 0.9171, 0.6727)
O (0.8899, 0.6165, 0.5672)
O (0.8899, 0.8835, 0.0672)
O (0.8909, 0.1356, 0.5083)
O (0.8909, 0.3644, 0.0083)

Output
**Calculated total energy**: -10.06 eV per atom
**SG**: P2_1/c



[5]
Gd2Ge2O7 | PBE | optimized geometry

Cell lengths 6.8581, 6.9253, 18.6792 Å; angles 88.60, 85.66, 87.86 degrees
Fractional coordinates of all 66 atoms:
Gd (0.0000, 0.0000, 0.0000)
Gd (0.0132, 0.3137, 0.3223)
Gd (0.0980, 0.6207, 0.1512)
Gd (0.1220, 0.2255, 0.6715)
Gd (0.2081, 0.5282, 0.5020)
Gd (0.2278, 0.8693, 0.8229)
Gd (0.3066, 0.7913, 0.3205)
Gd (0.4978, 0.2798, 0.0127)
Gd (0.5951, 0.8830, 0.1514)
Gd (0.6289, 0.9660, 0.6744)
Gd (0.7057, 0.5518, 0.8061)
Gd (0.9149, 0.0494, 0.5037)
Ge (0.0987, 0.7570, 0.6700)
Ge (0.1225, 0.0872, 0.1563)
Ge (0.2319, 0.3771, 0.8568)
Ge (0.4128, 0.0310, 0.4954)
Ge (0.4653, 0.2790, 0.3520)
Ge (0.4871, 0.7686, 0.9928)
Ge (0.5909, 0.4175, 0.1991)
Ge (0.6301, 0.4264, 0.6239)
Ge (0.7389, 0.0807, 0.8330)
Ge (0.7572, 0.5614, 0.4717)
Ge (0.8099, 0.8097, 0.3288)
Ge (0.9145, 0.5033, 0.9698)
O (0.0014, 0.6512, 0.2923)
O (0.0494, 0.3000, 0.2000)
O (0.1738, 0.5470, 0.6242)
O (0.2126, 0.2003, 0.7930)
O (0.2207, 0.1899, 0.5312)
O (0.2220, 0.3198, 0.9493)
O (0.2346, 0.1244, 0.0699)
O (0.2596, 0.9021, 0.2000)
O (0.2847, 0.8468, 0.4578)
O (0.2915, 0.9107, 0.6917)
O (0.2936, 0.1279, 0.3213)
O (0.3028, 0.4746, 0.3805)
O (0.3037, 0.8699, 0.9413)
O (0.3726, 0.5660, 0.8197)
O (0.3738, 0.5500, 0.2275)
O (0.4063, 0.6323, 0.0714)
O (0.4616, 0.2576, 0.6577)
O (0.5520, 0.5123, 0.5336)
O (0.5559, 0.2230, 0.1448)
O (0.5644, 0.1660, 0.4287)
O (0.5935, 0.8923, 0.8012)
O (0.5984, 0.2589, 0.8808)
O (0.6007, 0.9625, 0.5499)
O (0.6213, 0.8812, 0.2751)
O (0.6288, 0.9566, 0.0245)
O (0.6564, 0.6020, 0.9451)
O (0.6586, 0.6724, 0.3947)
O (0.6603, 0.6190, 0.6802)
O (0.6694, 0.3303, 0.2899)
O (0.7605, 0.5866, 0.1657)
O (0.8148, 0.2056, 0.7495)
O (0.8333, 0.2906, 0.0118)
O (0.8490, 0.2971, 0.5954)
O (0.9196, 0.3658, 0.4435)
O (0.9276, 0.7136, 0.5025)
O (0.9288, 0.9374, 0.1341)
O (0.9294, 0.9760, 0.8822)
O (0.9392, 0.9928, 0.3665)
O (0.9615, 0.9401, 0.6246)
O (0.9859, 0.5094, 0.8745)
O (0.9882, 0.7149, 0.7562)
O (0.9990, 0.6666, 0.0282)

Output
**Calculated total energy**: -9.11 eV per atom
**SG**: P1
**Total magnetization**: 84.0 μB per cell



[6]
Gd3Ge13Os4 | PBE | optimized geometry

Cell lengths 9.0815, 9.0815, 9.0815 Å; angles 90.00, 90.00, 90.00 degrees
Fractional coordinates of all 40 atoms:
Gd (0.0000, 0.2500, 0.5000)
Gd (0.0000, 0.7500, 0.5000)
Gd (0.2500, 0.5000, 0.0000)
Gd (0.5000, 0.0000, 0.2500)
Gd (0.5000, 0.0000, 0.7500)
Gd (0.7500, 0.5000, 0.0000)
Ge (0.0000, 0.0000, 0.0000)
Ge (0.0000, 0.3033, 0.1463)
Ge (0.0000, 0.3033, 0.8537)
Ge (0.0000, 0.6967, 0.1463)
Ge (0.0000, 0.6967, 0.8537)
Ge (0.1463, 0.0000, 0.3033)
Ge (0.1463, 0.0000, 0.6967)
Ge (0.1967, 0.5000, 0.3537)
Ge (0.1967, 0.5000, 0.6463)
Ge (0.3033, 0.1463, 0.0000)
Ge (0.3033, 0.8537, 0.0000)
Ge (0.3537, 0.1967, 0.5000)
Ge (0.3537, 0.8033, 0.5000)
Ge (0.5000, 0.3537, 0.1967)
Ge (0.5000, 0.3537, 0.8033)
Ge (0.5000, 0.5000, 0.5000)
Ge (0.5000, 0.6463, 0.1967)
Ge (0.5000, 0.6463, 0.8033)
Ge (0.6463, 0.1967, 0.5000)
Ge (0.6463, 0.8033, 0.5000)
Ge (0.6967, 0.1463, 0.0000)
Ge (0.6967, 0.8537, 0.0000)
Ge (0.8033, 0.5000, 0.3537)
Ge (0.8033, 0.5000, 0.6463)
Ge (0.8537, 0.0000, 0.3033)
Ge (0.8537, 0.0000, 0.6967)
Os (0.2500, 0.2500, 0.2500)
Os (0.2500, 0.2500, 0.7500)
Os (0.2500, 0.7500, 0.2500)
Os (0.2500, 0.7500, 0.7500)
Os (0.7500, 0.2500, 0.2500)
Os (0.7500, 0.2500, 0.7500)
Os (0.7500, 0.7500, 0.2500)
Os (0.7500, 0.7500, 0.7500)

Output
**Calculated total energy**: -7.70 eV per atom
**SG**: Pm-3n
**Total magnetization**: 41.1 μB per cell



[7]
GdGe2Pd2 | PBE | optimized geometry

Cell lengths 5.9498, 5.9498, 5.9498 Å; angles 137.45, 137.45, 61.75 degrees
Fractional coordinates of all 5 atoms:
Gd (0.0000, 0.0000, 0.0000)
Ge (0.3789, 0.3789, 0.0000)
Ge (0.6211, 0.6211, 0.0000)
Pd (0.2500, 0.7500, 0.5000)
Pd (0.7500, 0.2500, 0.5000)

Output
**Calculated total energy**: -7.55 eV per atom
**SG**: I4/mmm



[8]
GdGe4Rh6 | PBE | optimized geometry

Cell lengths 7.2265, 7.2265, 3.8639 Å; angles 90.00, 90.00, 120.00 degrees
Fractional coordinates of all 11 atoms:
Gd (0.0000, 0.0000, 0.0000)
Ge (0.3333, 0.6667, 0.0000)
Ge (0.3941, 0.1970, 0.5000)
Ge (0.8030, 0.1970, 0.5000)
Ge (0.8030, 0.6059, 0.5000)
Rh (0.1995, 0.3991, 0.5000)
Rh (0.1995, 0.8005, 0.5000)
Rh (0.5334, 0.0667, 0.0000)
Rh (0.5334, 0.4666, 0.0000)
Rh (0.6009, 0.8005, 0.5000)
Rh (0.9333, 0.4666, 0.0000)

Output
**Calculated total energy**: -7.72 eV per atom
**SG**: P-6m2



[9]
GdGeRu | PBE | optimized geometry

Cell lengths 7.1493, 4.4942, 7.1865 Å; angles 90.00, 90.00, 90.00 degrees
Fractional coordinates of all 12 atoms:
Gd (0.0204, 0.2500, 0.1900)
Gd (0.4796, 0.7500, 0.6900)
Gd (0.5204, 0.2500, 0.3100)
Gd (0.9796, 0.7500, 0.8100)
Ge (0.1994, 0.2500, 0.6069)
Ge (0.3006, 0.7500, 0.1069)
Ge (0.6994, 0.2500, 0.8931)
Ge (0.8006, 0.7500, 0.3931)
Ru (0.1526, 0.7500, 0.4357)
Ru (0.3474, 0.2500, 0.9357)
Ru (0.6526, 0.7500, 0.0643)
Ru (0.8474, 0.2500, 0.5643)

Output
**Calculated total energy**: -10.02 eV per atom
**SG**: Pnma



[10]
Gd3Ge13Ru4 | PBE | optimized geometry

Cell lengths 9.0705, 9.0705, 9.0705 Å; angles 90.00, 90.00, 90.00 degrees
Fractional coordinates of all 40 atoms:
Gd (0.0000, 0.2500, 0.5000)
Gd (0.0000, 0.7500, 0.5000)
Gd (0.2500, 0.5000, 0.0000)
Gd (0.5000, 0.0000, 0.2500)
Gd (0.5000, 0.0000, 0.7500)
Gd (0.7500, 0.5000, 0.0000)
Ge (0.0000, 0.0000, 0.0000)
Ge (0.0000, 0.3060, 0.1484)
Ge (0.0000, 0.3060, 0.8516)
Ge (0.0000, 0.6940, 0.1484)
Ge (0.0000, 0.6940, 0.8516)
Ge (0.1484, 0.0000, 0.3060)
Ge (0.1484, 0.0000, 0.6940)
Ge (0.1940, 0.5000, 0.3516)
Ge (0.1940, 0.5000, 0.6484)
Ge (0.3060, 0.1484, 0.0000)
Ge (0.3060, 0.8516, 0.0000)
Ge (0.3516, 0.1940, 0.5000)
Ge (0.3516, 0.8060, 0.5000)
Ge (0.5000, 0.3516, 0.1940)
Ge (0.5000, 0.3516, 0.8060)
Ge (0.5000, 0.5000, 0.5000)
Ge (0.5000, 0.6484, 0.1940)
Ge (0.5000, 0.6484, 0.8060)
Ge (0.6484, 0.1940, 0.5000)
Ge (0.6484, 0.8060, 0.5000)
Ge (0.6940, 0.1484, 0.0000)
Ge (0.6940, 0.8516, 0.0000)
Ge (0.8060, 0.5000, 0.3516)
Ge (0.8060, 0.5000, 0.6484)
Ge (0.8516, 0.0000, 0.3060)
Ge (0.8516, 0.0000, 0.6940)
Ru (0.2500, 0.2500, 0.2500)
Ru (0.2500, 0.2500, 0.7500)
Ru (0.2500, 0.7500, 0.2500)
Ru (0.2500, 0.7500, 0.7500)
Ru (0.7500, 0.2500, 0.2500)
Ru (0.7500, 0.2500, 0.7500)
Ru (0.7500, 0.7500, 0.2500)
Ru (0.7500, 0.7500, 0.7500)

Output
**Calculated total energy**: -7.42 eV per atom
**SG**: Pm-3n



[11]
Gd2Sc3Ge4 | PBE | optimized geometry

Cell lengths 7.2827, 14.1726, 7.5257 Å; angles 90.00, 90.00, 90.00 degrees
Fractional coordinates of all 36 atoms:
Gd (0.0017, 0.0961, 0.1763)
Gd (0.0017, 0.4039, 0.1763)
Gd (0.4983, 0.5961, 0.6763)
Gd (0.4983, 0.9039, 0.6763)
Gd (0.5017, 0.0961, 0.3237)
Gd (0.5017, 0.4039, 0.3237)
Gd (0.9983, 0.5961, 0.8237)
Gd (0.9983, 0.9039, 0.8237)
Sc (0.1595, 0.6247, 0.3319)
Sc (0.1595, 0.8753, 0.3319)
Sc (0.1756, 0.2500, 0.5001)
Sc (0.3244, 0.7500, 0.0001)
Sc (0.3405, 0.1247, 0.8319)
Sc (0.3405, 0.3753, 0.8319)
Sc (0.6595, 0.6247, 0.1681)
Sc (0.6595, 0.8753, 0.1681)
Sc (0.6756, 0.2500, 0.9999)
Sc (0.8244, 0.7500, 0.4999)
Sc (0.8405, 0.1247, 0.6681)
Sc (0.8405, 0.3753, 0.6681)
Ge (0.0393, 0.2500, 0.8728)
Ge (0.1768, 0.0416, 0.5410)
Ge (0.1768, 0.4584, 0.5410)
Ge (0.1928, 0.7500, 0.6367)
Ge (0.3072, 0.2500, 0.1367)
Ge (0.3232, 0.5416, 0.0410)
Ge (0.3232, 0.9584, 0.0410)
Ge (0.4607, 0.7500, 0.3728)
Ge (0.5393, 0.2500, 0.6272)
Ge (0.6768, 0.0416, 0.9590)
Ge (0.6768, 0.4584, 0.9590)
Ge (0.6928, 0.7500, 0.8633)
Ge (0.8072, 0.2500, 0.3633)
Ge (0.8232, 0.5416, 0.4590)
Ge (0.8232, 0.9584, 0.4590)
Ge (0.9607, 0.7500, 0.1272)

Output
**Calculated total energy**: -8.20 eV per atom
**SG**: Pnma
**Total magnetization**: 57.5 μB per cell



[12]
GdSnGe | PBE | optimized geometry

Cell lengths 8.5272, 8.5272, 4.1295 Å; angles 90.00, 90.00, 150.54 degrees
Fractional coordinates of all 6 atoms:
Gd (0.0950, 0.9050, 0.7500)
Gd (0.9050, 0.0950, 0.2500)
Sn (0.2561, 0.7439, 0.2500)
Sn (0.7439, 0.2561, 0.7500)
Ge (0.4479, 0.5521, 0.7500)
Ge (0.5521, 0.4479, 0.2500)

Output
**Calculated total energy**: -8.20 eV per atom
**SG**: Cmcm



[13]
GdTiGe | PBE | optimized geometry

Cell lengths 4.0715, 4.0715, 7.8083 Å; angles 90.00, 90.00, 90.00 degrees
Fractional coordinates of all 6 atoms:
Gd (0.2500, 0.2500, 0.1530)
Gd (0.7500, 0.7500, 0.8470)
Ti (0.2500, 0.7500, 0.5000)
Ti (0.7500, 0.2500, 0.5000)
Ge (0.2500, 0.2500, 0.7355)
Ge (0.7500, 0.7500, 0.2645)

Output
**Calculated total energy**: -9.56 eV per atom
**SG**: P4/nmm



[14]
GdTiGe | PBE | optimized geometry

Cell lengths 8.3661, 8.3661, 8.3661 Å; angles 151.79, 151.79, 40.31 degrees
Fractional coordinates of all 6 atoms:
Gd (0.1754, 0.1754, 0.0000)
Gd (0.8246, 0.8246, 0.0000)
Ti (0.0000, 0.5000, 0.5000)
Ti (0.5000, 0.0000, 0.5000)
Ge (0.3804, 0.3804, 0.0000)
Ge (0.6196, 0.6196, 0.0000)

Output
**Calculated total energy**: -9.55 eV per atom
**SG**: I4/mmm
**Total magnetization**: 18.1 μB per cell